[1]
Compound: ZnAsWO5
Source: the Materials Project
Functional: PBE with a Hubbard U
Structure: relaxed

a b c (Å): 6.636 8.299 8.956
angles (deg): 90.00 90.57 90.00
Fractional positions:
Zn 0.121 0.000 0.080
Zn 0.369 0.166 0.574
Zn 0.631 0.666 0.426
Zn 0.879 0.500 0.920
As 0.210 0.514 0.610
As 0.295 0.651 0.112
As 0.705 0.151 0.888
As 0.790 0.014 0.390
W 0.064 0.861 0.736
W 0.436 0.304 0.235
W 0.564 0.804 0.765
W 0.936 0.361 0.264
O 0.062 0.491 0.106
O 0.093 0.619 0.774
O 0.167 0.990 0.593
O 0.173 0.808 0.199
O 0.195 0.294 0.371
O 0.310 0.870 0.870
O 0.324 0.176 0.093
O 0.332 0.357 0.697
O 0.411 0.545 0.277
O 0.440 0.672 0.606
O 0.560 0.172 0.394
O 0.589 0.045 0.723
O 0.668 0.857 0.303
O 0.676 0.676 0.907
O 0.690 0.370 0.130
O 0.805 0.794 0.629
O 0.827 0.308 0.801
O 0.833 0.490 0.407
O 0.907 0.119 0.226
O 0.938 0.991 0.894

## Properties
Symmetry: P2_1, No. 4
Formation energy (meV per atom): -1734


[2]
Compound: Tl6V7P5O31
Source: the Materials Project
Functional: PBE with a Hubbard U
Structure: relaxed

a b c (Å): 13.585 7.279 14.721
angles (deg): 90.00 90.00 90.00
Fractional positions:
Tl 0.000 0.116 0.000
Tl 0.000 0.624 0.476
Tl 0.236 0.144 0.830
Tl 0.243 0.646 0.648
Tl 0.257 0.354 0.148
Tl 0.264 0.856 0.330
Tl 0.500 0.376 0.976
Tl 0.500 0.884 0.500
Tl 0.736 0.856 0.330
Tl 0.743 0.354 0.148
Tl 0.757 0.646 0.648
Tl 0.764 0.144 0.830
V 0.000 0.007 0.250
V 0.000 0.479 0.730
V 0.000 0.506 0.233
V 0.124 0.091 0.567
V 0.127 0.591 0.916
V 0.373 0.409 0.416
V 0.376 0.909 0.067
V 0.500 0.494 0.733
V 0.500 0.521 0.230
V 0.500 0.993 0.750
V 0.624 0.909 0.067
V 0.627 0.409 0.416
V 0.873 0.591 0.916
V 0.876 0.091 0.567
P 0.000 0.892 0.724
P 0.150 0.284 0.372
P 0.150 0.786 0.111
P 0.350 0.214 0.611
P 0.350 0.716 0.872
P 0.500 0.108 0.224
P 0.650 0.214 0.611
P 0.650 0.716 0.872
P 0.850 0.284 0.372
P 0.850 0.786 0.111
O 0.000 0.028 0.534
O 0.000 0.287 0.194
O 0.000 0.327 0.645
O 0.000 0.538 0.944
O 0.000 0.701 0.668
O 0.000 0.786 0.288
O 0.000 0.848 0.825
O 0.096 0.992 0.693
O 0.105 0.962 0.153
O 0.106 0.108 0.329
O 0.106 0.460 0.328
O 0.106 0.610 0.154
O 0.107 0.468 0.795
O 0.130 0.292 0.476
O 0.131 0.793 0.007
O 0.188 0.424 0.967
O 0.188 0.923 0.520
O 0.237 0.222 0.631
O 0.237 0.725 0.853
O 0.263 0.275 0.353
O 0.263 0.778 0.131
O 0.312 0.077 0.020
O 0.312 0.576 0.467
O 0.369 0.207 0.507
O 0.370 0.708 0.976
O 0.393 0.532 0.295
O 0.394 0.390 0.654
O 0.394 0.540 0.828
O 0.394 0.892 0.829
O 0.395 0.038 0.653
O 0.404 0.008 0.193
O 0.500 0.152 0.325
O 0.500 0.214 0.788
O 0.500 0.299 0.168
O 0.500 0.462 0.444
O 0.500 0.673 0.145
O 0.500 0.713 0.694
O 0.500 0.972 0.034
O 0.596 0.008 0.193
O 0.605 0.038 0.653
O 0.606 0.390 0.654
O 0.606 0.540 0.828
O 0.606 0.892 0.829
O 0.607 0.532 0.295
O 0.630 0.708 0.976
O 0.631 0.207 0.507
O 0.688 0.077 0.020
O 0.688 0.576 0.467
O 0.737 0.275 0.353
O 0.737 0.778 0.131
O 0.763 0.222 0.631
O 0.763 0.725 0.853
O 0.812 0.424 0.967
O 0.812 0.923 0.520
O 0.869 0.793 0.007
O 0.870 0.292 0.476
O 0.893 0.468 0.795
O 0.894 0.108 0.329
O 0.894 0.460 0.328
O 0.894 0.610 0.154
O 0.895 0.962 0.153
O 0.904 0.992 0.693

## Properties
Symmetry: Pmn2_1, No. 31
Formation energy (meV per atom): -2337


[3]
Compound: Li3MnCo2O6
Source: the Materials Project
Functional: PBE with a Hubbard U
Structure: relaxed

a b c (Å): 5.113 5.113 5.143
angles (deg): 99.12 99.12 120.96
Fractional positions:
Li 0.000 0.000 0.000
Li 0.336 0.664 0.000
Li 0.664 0.336 0.000
Mn 0.500 0.500 0.500
Co 0.169 0.831 0.500
Co 0.831 0.169 0.500
O 0.108 0.421 0.272
O 0.257 0.257 0.723
O 0.421 0.108 0.272
O 0.579 0.892 0.728
O 0.743 0.743 0.277
O 0.892 0.579 0.728

## Properties
Energy above the lowest structure with this stoichiometry (meV per atom): 7.4
Symmetry: C2/m, No. 12
Formation energy (meV per atom): -1827


Number 1: corrected total energy (MP2020 scheme) -7.19 eV/atom. Number 2: corrected total energy (MP2020 scheme) -7.61 eV/atom. Number 3: corrected total energy (MP2020 scheme) -6.73 eV/atom.